Na3SiSbCO7 | the Materials Project database | PBE | relaxed; V = 13.22 A^3/atom; energy = -6.31 eV/atom; symmetry = P2_1/m; calculated formation energy = -2.270 eV/atom; corrected total energy (MP2020 scheme) = -6.684 eV/atom
1.0
5.122 0.000 0.000
0.000 7.072 0.000
-0.173 0.000 9.487
Na Si Sb C O
6 2 2 2 14
direct
0.221 0.250 0.411
0.252 0.507 0.750
0.252 0.993 0.750
0.748 0.007 0.250
0.748 0.493 0.250
0.779 0.750 0.589
0.283 0.250 0.093
0.717 0.750 0.907
0.234 0.750 0.134
0.766 0.250 0.866
0.275 0.750 0.450
0.725 0.250 0.550
0.057 0.750 0.374
0.158 0.250 0.928
0.191 0.064 0.183
0.191 0.436 0.183
0.259 0.750 0.587
0.393 0.750 0.918
0.500 0.250 0.609
0.500 0.750 0.391
0.607 0.250 0.082
0.741 0.250 0.413
0.809 0.564 0.817
0.809 0.936 0.817
0.842 0.750 0.072
0.943 0.250 0.626